Compound: Li9Mn2Co5O16
Source: the Materials Project
Functional: GGA+U
Structure: optimized geometry

Lattice parameters (Å, degrees): 9.8239 9.8239 10.2735 84.16 84.16 16.99
Closest atoms and distances in Å follow each position.
Element x y z (fractional)
Li 0.3815 0.3815 0.9320  4 O 1.96-2.11
Li 0.1159 0.1159 0.8024  3 O 2.00-2.14
Li 0.8830 0.8830 0.6868  6 O 2.06-2.29
Li 0.6222 0.6222 0.5576  5 O 2.01-2.16
Li 0.3805 0.3805 0.4377  6 O 2.02-2.23
Li 0.1226 0.1226 0.3190  6 O 2.07-2.27
Li 0.8755 0.8755 0.1935  5 O 2.06-2.18
Li 0.6205 0.6205 0.0646  6 O 2.05-2.25
Li 0.4981 0.4981 0.7507  6 O 2.07-2.15
Mn 0.9982 0.9982 0.9933  6 O 1.84-2.05
Mn 0.7496 0.7496 0.8752  6 O 1.94-1.97
Co 0.2500 0.2500 0.6221  5 O 1.96-2.09
Co 0.0046 0.0046 0.5196  3 O 1.80-1.98
Co 0.7507 0.7507 0.3749  6 O 1.99-2.10
Co 0.4995 0.4995 0.2562  6 O 1.96-2.15
Co 0.2491 0.2491 0.1283  5 O 1.95-2.08
O 0.4436 0.4436 0.0863  2 Mn 1.98, 3 Li 2.09-2.18, 1 Co 2.15
O 0.1928 0.1928 0.9526  2 Mn 1.94
O 0.9420 0.9420 0.8593  1 Mn 1.84, 2 Li 1.96
O 0.6987 0.6987 0.7201  1 Mn 1.96, 2 Co 1.98
O 0.4413 0.4413 0.5857  2 Co 1.98, 4 Li 2.02-2.12
O 0.1924 0.1924 0.4614  3 Co 1.99-2.09, 3 Li 2.09-2.16
O 0.9420 0.9420 0.3368  2 Co 1.96, 3 Li 2.06-2.09
O 0.6938 0.6938 0.2125  3 Co 1.95-2.10, 1 Li 2.19
O 0.3066 0.3066 0.7975  2 Mn 1.95, 1 Li 2.11
O 0.0625 0.0625 0.6458  1 Co 1.80, 3 Li 2.00-2.01
O 0.8055 0.8055 0.5374  3 Co 1.96-2.07
O 0.5569 0.5569 0.4050  3 Co 1.98-2.07, 3 Li 2.07-2.12
O 0.3094 0.3094 0.2847  3 Co 2.01-2.08, 3 Li 2.09-2.20
O 0.0552 0.0552 0.1508  2 Co 2.05, 1 Mn 2.05, 3 Li 2.07-2.27
O 0.7998 0.7998 0.0322  2 Co 1.96, 1 Mn 1.97
O 0.5562 0.5562 0.9180  2 Mn 1.95, 4 Li 2.05-2.15

Properties
Final energy   -5.79 eV per atom
Formation energy from the elements   -1.80 eV per atom
Calculated density   4.2 g/cm³